w:
A plane-wave DFT calculation with r2SCAN was carried out for a relaxed Ho crystal.

V, Å³/atom: 31.36

Cell: 3.6151 3.6151 5.5425 Å, 90.00 90.00 120.00°
Closest atoms and distances in Å follow each position.
Sites, in units of the cell vectors:
Ho 0.3333 0.6667 0.2500  12 Ho 3.47-3.62
Ho 0.6667 0.3333 0.7500  12 Ho 3.47-3.62

x:
A plane-wave DFT calculation with r2SCAN was carried out for a relaxed Ho crystal.

V, Å³/atom: 31.05

Cell: 3.5525 3.5525 11.3633 Å, 90.00 90.00 120.00°
Closest atoms and distances in Å follow each position.
Sites, in units of the cell vectors:
Ho 0.6667 0.3333 0.7500  12 Ho 3.50-3.55
Ho 0.0000 0.0000 0.0000  12 Ho 3.50-3.55
Ho 0.3333 0.6667 0.2500  12 Ho 3.50-3.55
Ho 0.0000 0.0000 0.5000  12 Ho 3.50-3.55

x is the least stable structure shown above.